1.
Compound: Cr30As11C4
Source: the Materials Project
Functional: GGA-PBE
Structure: relaxed

Cell lengths 3.0010, 56.1401, 6.4917 Å; angles 90.00, 90.00, 90.00 degrees
Last column: nearest neighbours and their distance in Å.
Space group Amm2 (No. 38)
Asymmetric unit:
Cr (0.0000, 0.0000, 0.0000) (multiplicity 2)  4 As 2.33-2.47
Cr (0.0000, 0.0288, 0.5966) (multiplicity 4)  4 As 2.36-2.40
Cr (0.0000, 0.0794, 0.1106) (multiplicity 4)  2 C 2.15
Cr (0.0000, 0.1020, 0.4587) (multiplicity 4)  2 C 2.09
Cr (0.0000, 0.1247, 0.1118) (multiplicity 4)  2 C 2.09
Cr (0.0000, 0.1777, 0.6126) (multiplicity 4)  2 C 2.11
Cr (0.0000, 0.2006, 0.9581) (multiplicity 4)  2 C 2.11
Cr (0.0000, 0.2233, 0.6137) (multiplicity 4)  2 C 2.12
Cr (0.5000, 0.0000, 0.3356) (multiplicity 2)  5 As 2.53-2.56, 6 Cr 2.65-2.78
Cr (0.5000, 0.0423, 0.9333) (multiplicity 4)  5 As 2.48-2.73, 2 Cr 2.76
Cr (0.5000, 0.0655, 0.3985) (multiplicity 4)  1 C 2.35, 4 Cr 2.52-2.57, 4 As 2.53-2.58
Cr (0.5000, 0.1014, 0.8470) (multiplicity 4)  4 As 2.49-2.51, 1 C 2.51, 4 Cr 2.59-2.63
Cr (0.5000, 0.1399, 0.4195) (multiplicity 4)  1 C 2.40, 4 As 2.50-2.52, 4 Cr 2.61-2.64
Cr (0.5000, 0.1629, 0.9166) (multiplicity 4)  1 C 2.43, 4 As 2.51-2.52, 4 Cr 2.61-2.62
Cr (0.5000, 0.2004, 0.3470) (multiplicity 4)  1 C 2.48, 4 As 2.50-2.51, 4 Cr 2.62-2.63
Cr (0.5000, 0.2384, 0.9199) (multiplicity 4)  1 C 2.47, 4 As 2.51-2.52, 4 Cr 2.61-2.63
As (0.0000, 0.0349, 0.2302) (multiplicity 4)  9 Cr 2.40-2.61
As (0.0000, 0.0691, 0.7208) (multiplicity 4)  9 Cr 2.40-2.60
As (0.0000, 0.1346, 0.7279) (multiplicity 4)  9 Cr 2.51-2.55
As (0.0000, 0.1677, 0.2260) (multiplicity 4)  9 Cr 2.50-2.57
As (0.0000, 0.2334, 0.2283) (multiplicity 4)  9 Cr 2.51-2.56
As (0.5000, 0.0000, 0.7259) (multiplicity 2)  7 Cr 2.33-2.53
C (0.5000, 0.1029, 0.2339) (multiplicity 4)  6 Cr 2.09-2.15
C (0.5000, 0.2004, 0.7296) (multiplicity 4)  6 Cr 2.11-2.12

Summary:
Total magnetic moment = 21.0 μB per formula unit
Formation energy from the elements = 0.004 eV/atom


2.
Compound: CsAsH6C2Se2
Source: the Materials Project
Functional: GGA-PBE
Structure: relaxed

Cell lengths 9.9690, 10.1936, 9.8392 Å; angles 90.00, 115.57, 90.00 degrees
Last column: nearest neighbours and their distance in Å.
Space group C2/c (No. 15)
Asymmetric unit:
Cs (0.0000, 0.1117, 0.2500) (multiplicity 4)  6 H 3.71-3.88, 6 Se 3.73-3.80, 2 C 4.12
As (0.0000, 0.3234, 0.7500) (multiplicity 4)  2 C 1.97
H (0.0704, 0.4874, 0.4374) (multiplicity 8)  1 C 1.10
H (0.2046, 0.3818, 0.0058) (multiplicity 8)  1 C 1.10
H (0.2047, 0.4927, 0.8615) (multiplicity 8)  1 C 1.10
C (0.1357, 0.4416, 0.9071) (multiplicity 8)  3 H 1.10
Se (0.1378, 0.2054, 0.6545) (multiplicity 8)  1 As 2.31

Summary:
Total magnetic moment = 0.0 μB per formula unit
E (MP2020) = -223.0 eV/cell
Formation energy from the elements = -0.365 eV/atom


3.
Compound: Cu3As4H18C8I3N2O4
Source: the Materials Project
Functional: GGA-PBE
Structure: relaxed

Cell lengths 12.5822, 18.8163, 11.2575 Å; angles 90.00, 105.11, 90.00 degrees
Last column: nearest neighbours and their distance in Å.
Space group C2/c (No. 15)
Asymmetric unit:
Cu (0.0000, 0.1262, 0.2500) (multiplicity 4)  2 As 2.38, 2 I 2.62
Cu (0.1985, 0.3449, 0.7457) (multiplicity 8)  1 N 1.91
As (0.0706, 0.1892, 0.4378) (multiplicity 8)  2 O 1.82-1.83, 1 C 1.96
As (0.1733, 0.3443, 0.5295) (multiplicity 8)  2 O 1.84, 1 C 1.96
H (0.0056, 0.1263, 0.9039) (multiplicity 8)  1 C 1.10
H (0.0482, 0.4507, 0.4660) (multiplicity 8)  1 C 1.10
H (0.0548, 0.2108, 0.6542) (multiplicity 8)  1 C 1.10
H (0.0789, 0.2077, 0.9532) (multiplicity 8)  1 C 1.10
H (0.0938, 0.4169, 0.3378) (multiplicity 8)  1 C 1.09
H (0.1137, 0.3830, 0.1168) (multiplicity 8)  1 C 1.10
H (0.1849, 0.4696, 0.4539) (multiplicity 8)  1 C 1.10
H (0.1999, 0.3836, 0.0134) (multiplicity 8)  1 C 1.10
H (0.2458, 0.0890, 0.8294) (multiplicity 8)  1 C 1.10
C (0.0024, 0.1827, 0.5751) (multiplicity 8)  3 H 1.10
C (0.1184, 0.4302, 0.4358) (multiplicity 8)  3 H 1.09-1.10
C (0.1979, 0.3738, 0.1093) (multiplicity 8)  3 H 1.10
C (0.2291, 0.3015, 0.1436) (multiplicity 8)  1 N 1.17
I (0.0000, 0.3947, 0.7500) (multiplicity 4)  2 Cu 2.68
I (0.1570, 0.0508, 0.1971) (multiplicity 8)  2 Cu 2.62-2.64
N (0.2448, 0.2568, 0.8281) (multiplicity 8)  1 C 1.17
O (0.0791, 0.2853, 0.4213) (multiplicity 8)  2 As 1.83-1.84
O (0.2070, 0.1670, 0.5341) (multiplicity 8)  2 As 1.82-1.84

Summary:
Total magnetic moment = 0.0 μB per formula unit
E (MP2020) = -885.1 eV/cell
Formation energy from the elements = -0.343 eV/atom